1.
A relaxed structure of Sr8CaCu4Re3O24. Source: the Materials Project, functional PBE.

Properties
Volume: 13.18 Å³ per atom
Total DFT energy (no corrections): -6.712 eV per atom
Calculated formation energy: -2.42 eV per atom

Cell: 8.079 8.079 8.079 Å, 90.00 90.00 90.00°
Sites, in units of the cell vectors:
1 O 0.000 0.270 0.000
2 O 0.270 0.000 0.000
3 O 0.500 0.000 0.237
4 O 0.000 0.730 0.000
5 O 0.500 0.500 0.754
6 O 0.000 0.000 0.270
7 O 0.000 0.500 0.763
8 O 0.000 0.763 0.500
9 O 0.246 0.500 0.500
10 O 0.000 0.000 0.730
11 O 0.500 0.763 0.000
12 O 0.763 0.000 0.500
13 O 0.500 0.000 0.763
14 O 0.754 0.500 0.500
15 O 0.763 0.500 0.000
16 O 0.500 0.500 0.246
17 O 0.237 0.000 0.500
18 O 0.237 0.500 0.000
19 O 0.000 0.500 0.237
20 O 0.730 0.000 0.000
21 O 0.500 0.237 0.000
22 O 0.500 0.246 0.500
23 O 0.500 0.754 0.500
24 O 0.000 0.237 0.500
25 Sr 0.730 0.730 0.270
26 Sr 0.730 0.270 0.270
27 Sr 0.270 0.730 0.730
28 Sr 0.730 0.730 0.730
29 Sr 0.730 0.270 0.730
30 Sr 0.270 0.730 0.270
31 Sr 0.270 0.270 0.270
32 Sr 0.270 0.270 0.730
33 Cu 0.500 0.500 0.000
34 Cu 0.500 0.000 0.500
35 Cu 0.000 0.500 0.500
36 Cu 0.500 0.500 0.500
37 Re 0.000 0.000 0.500
38 Re 0.000 0.500 0.000
39 Re 0.500 0.000 0.000
40 Ca 0.000 0.000 0.000


2.
A relaxed structure of ZrAlPd. Source: the Materials Project, functional PBE.

Properties
Volume: 17.51 Å³ per atom
Total DFT energy (no corrections): -6.518 eV per atom
Calculated formation energy: -0.69 eV per atom

Cell: 5.331 5.331 8.466 Å, 90.00 90.00 119.17°
Sites, in units of the cell vectors:
1 Al 0.003 0.997 0.245
2 Al 0.003 0.997 0.755
3 Al 0.651 0.829 0.500
4 Al 0.171 0.349 0.500
5 Zr 0.667 0.333 0.698
6 Zr 0.667 0.333 0.302
7 Zr 0.335 0.665 0.819
8 Zr 0.335 0.665 0.181
9 Pd 0.832 0.168 0.000
10 Pd 0.338 0.169 0.000
11 Pd 0.831 0.662 0.000
12 Pd 0.166 0.834 0.500


3.
A relaxed structure of Ge5Te4Se. Source: the Materials Project, functional PBE.

Properties
Volume: 26.68 Å³ per atom
Total DFT energy (no corrections): -3.996 eV per atom
Calculated formation energy: -0.12 eV per atom

Cell: 15.394 15.394 15.394 Å, 164.31 164.31 22.26°
Sites, in units of the cell vectors:
1 Ge 0.200 0.200 0.000
2 Ge 0.599 0.599 0.000
3 Ge 0.000 0.000 0.000
4 Ge 0.800 0.800 0.000
5 Ge 0.401 0.401 0.000
6 Te 0.300 0.300 0.000
7 Te 0.100 0.100 0.000
8 Te 0.900 0.900 0.000
9 Te 0.700 0.700 0.000
10 Se 0.500 0.500 0.000


4.
A relaxed structure of HoErCu2. Source: the Materials Project, functional PBE.

Properties
Volume: 19.62 Å³ per atom
Total DFT energy (no corrections): -4.596 eV per atom
Calculated formation energy: -0.26 eV per atom

Cell: 4.806 4.806 4.806 Å, 60.00 60.00 60.00°
Sites, in units of the cell vectors:
1 Cu 0.250 0.250 0.250
2 Cu 0.750 0.750 0.750
3 Ho 0.000 0.000 0.000
4 Er 0.500 0.500 0.500


5.
A relaxed structure of ErInCu4. Source: the Materials Project, functional PBE.

Properties
Volume: 15.62 Å³ per atom
Total DFT energy (no corrections): -4.235 eV per atom
Calculated formation energy: -0.28 eV per atom

Cell: 5.099 5.099 5.099 Å, 60.00 60.00 60.00°
Sites, in units of the cell vectors:
1 Cu 0.625 0.625 0.125
2 Cu 0.625 0.625 0.625
3 Cu 0.625 0.125 0.625
4 Cu 0.125 0.625 0.625
5 In 0.000 0.000 0.000
6 Er 0.250 0.250 0.250


6.
A relaxed structure of ErV2Ga4. Source: the Materials Project, functional PBE.

Properties
Volume: 16.29 Å³ per atom
Total DFT energy (no corrections): -5.384 eV per atom
Calculated formation energy: -0.41 eV per atom

Cell: 5.233 5.351 5.351 Å, 76.17 60.73 60.73°
Sites, in units of the cell vectors:
1 Ga 0.697 0.000 0.605
2 Ga 0.303 0.395 0.000
3 Ga 0.697 0.605 0.000
4 Ga 0.303 0.000 0.395
5 V 0.750 0.500 0.500
6 V 0.250 0.500 0.500
7 Er 0.000 0.000 0.000


7.
A relaxed structure of Nd4Re6O19. Source: the Materials Project, functional PBE.

Properties
Volume: 12.77 Å³ per atom
Total DFT energy (no corrections): -8.642 eV per atom
Calculated formation energy: -2.62 eV per atom

Cell: 7.835 7.835 7.835 Å, 109.47 109.47 109.47°
Sites, in units of the cell vectors:
1 Re 0.633 0.133 0.500
2 Re 0.500 0.367 0.867
3 Re 0.867 0.500 0.367
4 Re 0.133 0.500 0.633
5 Re 0.367 0.867 0.500
6 Re 0.500 0.633 0.133
7 O 0.379 0.738 0.682
8 O 0.681 0.681 0.000
9 O 0.000 0.681 0.681
10 O 0.000 0.000 0.000
11 O 0.359 0.621 0.302
12 O 0.621 0.302 0.359
13 O 0.682 0.379 0.738
14 O 0.302 0.359 0.621
15 O 0.319 0.319 0.000
16 O 0.641 0.944 0.262
17 O 0.056 0.698 0.318
18 O 0.698 0.318 0.056
19 O 0.262 0.641 0.944
20 O 0.944 0.262 0.641
21 O 0.738 0.682 0.379
22 O 0.319 0.000 0.319
23 O 0.318 0.056 0.698
24 O 0.000 0.319 0.319
25 O 0.681 0.000 0.681
26 Nd 0.688 0.688 0.688
27 Nd 0.000 0.312 0.000
28 Nd 0.312 0.000 0.000
29 Nd 0.000 0.000 0.312


8.
A relaxed structure of AgAsS16F6. Source: the Materials Project, functional PBE.

Properties
Volume: 24.92 Å³ per atom
Total DFT energy (no corrections): -4.185 eV per atom
Calculated formation energy: -1.09 eV per atom

Cell: 10.057 10.057 16.181 Å, 79.63 79.63 48.21°
Sites, in units of the cell vectors:
1 S 0.089 0.271 0.081
2 S 0.702 0.101 0.330
3 S 0.043 0.638 0.165
4 S 0.893 0.502 0.628
5 S 0.498 0.107 0.872
6 S 0.899 0.298 0.170
7 S 0.066 0.099 0.851
8 S 0.780 0.479 0.744
9 S 0.998 0.712 0.437
10 S 0.298 0.899 0.670
11 S 0.502 0.893 0.128
12 S 0.479 0.780 0.244
13 S 0.065 0.681 0.714
14 S 0.712 0.998 0.937
15 S 0.934 0.901 0.149
16 S 0.911 0.729 0.919
17 S 0.288 0.002 0.063
18 S 0.729 0.911 0.419
19 S 0.901 0.934 0.649
20 S 0.319 0.935 0.786
21 S 0.638 0.043 0.665
22 S 0.957 0.362 0.835
23 S 0.271 0.089 0.581
24 S 0.521 0.220 0.756
25 S 0.362 0.957 0.335
26 S 0.107 0.498 0.372
27 S 0.099 0.066 0.351
28 S 0.002 0.288 0.563
29 S 0.681 0.065 0.214
30 S 0.935 0.319 0.286
31 S 0.101 0.702 0.830
32 S 0.220 0.521 0.256
33 F 0.433 0.373 0.032
34 F 0.459 0.553 0.106
35 F 0.373 0.433 0.532
36 F 0.567 0.627 0.968
37 F 0.305 0.724 0.519
38 F 0.541 0.447 0.894
39 F 0.627 0.567 0.468
40 F 0.553 0.459 0.606
41 F 0.695 0.276 0.481
42 F 0.447 0.541 0.394
43 F 0.724 0.305 0.019
44 F 0.276 0.695 0.981
45 As 0.500 0.500 0.000
46 As 0.500 0.500 0.500
47 Ag 0.164 0.836 0.250
48 Ag 0.836 0.164 0.750